NaLi2BO3: optimized geometry, PBE.

Cell lengths 12.1801, 4.9781, 9.6940 Å; angles 74.25, 90.00, 90.00 degrees
Positions (direct):
Li: 0.6488 0.1876 0.9405
Li: 0.1488 0.8124 0.5595
Li: 0.3470 0.7718 0.6444
Li: 0.8470 0.2282 0.8556
Li: 0.1023 0.4772 0.7978
Li: 0.0038 0.2406 0.0207
Li: 0.8977 0.5228 0.2022
Li: 0.4962 0.2406 0.5207
Li: 0.5038 0.7594 0.4793
Li: 0.6530 0.2282 0.3556
Li: 0.1530 0.7718 0.1444
Li: 0.8512 0.1876 0.4405
Li: 0.9962 0.7594 0.9793
Li: 0.3977 0.4772 0.2978
Li: 0.3512 0.8124 0.0595
Li: 0.6023 0.5228 0.7022
O: 0.7592 0.8936 0.9471
O: 0.9645 0.1726 0.3076
O: 0.5355 0.1726 0.8076
O: 0.2339 0.4651 0.6778
O: 0.6119 0.1715 0.1387
O: 0.6267 0.4789 0.5030
O: 0.1119 0.8285 0.3613
O: 0.3881 0.8285 0.8613
O: 0.9925 0.8620 0.1600
O: 0.8881 0.1715 0.6387
O: 0.8733 0.4789 0.0030
O: 0.7661 0.5349 0.3222
O: 0.3733 0.5211 0.4970
O: 0.4925 0.1380 0.3400
O: 0.1267 0.5211 0.9970
O: 0.7339 0.5349 0.8222
O: 0.2408 0.1064 0.0529
O: 0.7408 0.8936 0.4471
O: 0.0075 0.1380 0.8400
O: 0.4645 0.8274 0.1924
O: 0.5075 0.8620 0.6600
O: 0.2661 0.4651 0.1778
O: 0.2592 0.1064 0.5529
O: 0.0355 0.8274 0.6924
B: 0.0218 0.9526 0.2807
B: 0.9782 0.0474 0.7193
B: 0.2885 0.3595 0.5763
B: 0.5218 0.0474 0.2193
B: 0.2115 0.3595 0.0763
B: 0.4782 0.9526 0.7807
B: 0.7885 0.6405 0.9237
B: 0.7115 0.6405 0.4237
Na: 0.8852 0.6547 0.6034
Na: 0.3020 0.9736 0.3241
Na: 0.8020 0.0264 0.1759
Na: 0.1148 0.3453 0.3966
Na: 0.6148 0.6547 0.1034
Na: 0.6980 0.0264 0.6759
Na: 0.1980 0.9736 0.8241
Na: 0.3852 0.3453 0.8966

space group = P2_1/c, No. 14
total magnetic moment = 0.000 μB/f.u.
crystal system = monoclinic


NaLiB4O7: optimized geometry, PBE.

Cell lengths 9.8060, 8.8509, 8.5131 Å; angles 68.74, 57.26, 54.00 degrees
Positions (direct):
B: 0.0130 0.6400 0.5579
B: 0.7891 0.5579 0.6400
B: 0.6100 0.2370 0.4609
B: 0.1132 0.9417 0.7157
B: 0.7048 0.3854 0.5463
B: 0.2295 0.7157 0.9417
B: 0.6921 0.4609 0.2370
B: 0.2203 0.0196 0.8715
B: 0.7037 0.8866 0.5452
B: 0.8885 0.8715 0.0196
B: 0.3083 0.1368 0.0205
B: 0.5343 0.0205 0.1368
B: 0.2304 0.0297 0.3615
B: 0.3785 0.3615 0.0297
B: 0.3634 0.5463 0.3854
B: 0.8646 0.5452 0.8866
O: 0.1819 0.6493 0.4117
O: 0.3995 0.9945 0.3329
O: 0.4971 0.2180 0.1089
O: 0.4988 0.5898 0.2398
O: 0.8558 0.8385 0.5662
O: 0.0320 0.7529 0.0741
O: 0.6715 0.2398 0.5898
O: 0.6602 0.7512 0.5785
O: 0.6838 0.5106 0.3942
O: 0.5034 0.9966 0.9966
O: 0.7179 0.8845 0.1341
O: 0.8383 0.4929 0.0681
O: 0.3655 0.5321 0.9865
O: 0.1159 0.9865 0.5321
O: 0.7394 0.5662 0.8385
O: 0.2555 0.8505 0.9769
O: 0.2731 0.3329 0.9945
O: 0.9171 0.9769 0.8505
O: 0.6007 0.0681 0.4929
O: 0.2635 0.1341 0.8845
O: 0.0102 0.5785 0.7512
O: 0.9832 0.5168 0.5168
O: 0.1411 0.0741 0.7529
O: 0.1759 0.1089 0.2180
O: 0.4115 0.3942 0.5106
O: 0.7332 0.2668 0.2668
O: 0.7571 0.4117 0.6493
O: 0.2534 0.7466 0.7466
Na: 0.9667 0.5128 0.2357
Na: 0.2847 0.2357 0.5128
Na: 0.0143 0.9653 0.2833
Na: 0.7372 0.2833 0.9653
Li: 0.4836 0.7458 0.0115
Li: 0.2385 0.4910 0.7664
Li: 0.7590 0.0115 0.7458
Li: 0.5042 0.7664 0.4910

space group = Fdd2, No. 43
total magnetic moment = 0.000 μB/f.u.
crystal system = orthorhombic


Na2LiB5P2O14: optimized geometry, PBE.

Cell lengths 9.3167, 8.3197, 8.4507 Å; angles 64.20, 90.00, 90.00 degrees
Positions (direct):
P: 0.9412 0.1538 0.7263
P: 0.0588 0.8462 0.2737
P: 0.4412 0.8462 0.2737
P: 0.5588 0.1538 0.7263
B: 0.7500 0.9486 0.6514
B: 0.7500 0.2647 0.4550
B: 0.7500 0.2812 0.9013
B: 0.7500 0.4141 0.1159
B: 0.2500 0.0514 0.3486
B: 0.2500 0.7353 0.5450
B: 0.2500 0.7188 0.0987
B: 0.7500 0.6101 0.8022
B: 0.2500 0.5859 0.8841
B: 0.2500 0.3899 0.1978
O: 0.8812 0.1867 0.8833
O: 0.1188 0.8133 0.1167
O: 0.2500 0.5922 0.7204
O: 0.6187 0.9678 0.7509
O: 0.6189 0.2981 0.5474
O: 0.2500 0.4128 0.0237
O: 0.6029 0.8443 0.2676
O: 0.2500 0.7333 0.9183
O: 0.7500 0.7726 0.6603
O: 0.2500 0.5358 0.2319
O: 0.8971 0.8443 0.2676
O: 0.7500 0.4642 0.7681
O: 0.3812 0.8133 0.1167
O: 0.3813 0.0322 0.2491
O: 0.7500 0.4078 0.2796
O: 0.6188 0.1867 0.8833
O: 0.7500 0.2667 0.0817
O: 0.1029 0.1557 0.7324
O: 0.8813 0.9678 0.7509
O: 0.1187 0.0322 0.2491
O: 0.7500 0.5872 0.9763
O: 0.7500 0.0855 0.4732
O: 0.2500 0.9145 0.5268
O: 0.3971 0.1557 0.7324
O: 0.3811 0.7019 0.4526
O: 0.1189 0.7019 0.4526
O: 0.8811 0.2981 0.5474
O: 0.2500 0.2274 0.3397
Li: 0.2500 0.9851 0.7159
Li: 0.7500 0.0149 0.2841
Na: 0.7500 0.8345 0.0411
Na: 0.2500 0.3965 0.5350
Na: 0.7500 0.6035 0.4650
Na: 0.2500 0.1655 0.9589

space group = P2_1/m, No. 11
total magnetic moment = 0.002 μB/f.u.
crystal system = monoclinic


Li6NdB3O9: optimized geometry, PBE.

Cell lengths 16.7829, 6.8172, 7.3503 Å; angles 74.55, 90.00, 90.00 degrees
Positions (direct):
O: 0.6823 0.1686 0.1559
O: 0.9288 0.4587 0.8736
O: 0.0758 0.9239 0.3946
O: 0.0865 0.4095 0.4649
O: 0.8051 0.2194 0.4278
O: 0.4466 0.6737 0.9190
O: 0.1949 0.7806 0.5722
O: 0.3009 0.0482 0.2666
O: 0.3051 0.2806 0.5722
O: 0.6734 0.5234 0.9992
O: 0.8177 0.6686 0.1559
O: 0.9328 0.2690 0.2802
O: 0.6991 0.9518 0.7334
O: 0.4135 0.9095 0.4649
O: 0.4288 0.0413 0.1264
O: 0.1823 0.3314 0.8441
O: 0.9242 0.0761 0.6054
O: 0.5534 0.3263 0.0810
O: 0.5672 0.7690 0.2802
O: 0.3266 0.4766 0.0008
O: 0.8266 0.0234 0.9992
O: 0.3177 0.8314 0.8441
O: 0.0672 0.7310 0.7198
O: 0.9466 0.8263 0.0810
O: 0.1991 0.5482 0.2666
O: 0.5712 0.9587 0.8736
O: 0.0534 0.1737 0.9190
O: 0.5865 0.0905 0.5351
O: 0.1734 0.9766 0.0008
O: 0.8009 0.4518 0.7334
O: 0.9135 0.5905 0.5351
O: 0.5758 0.5761 0.6054
O: 0.4328 0.2310 0.7198
O: 0.0712 0.5413 0.1264
O: 0.4242 0.4239 0.3946
O: 0.6949 0.7194 0.4278
B: 0.3872 0.3140 0.5580
B: 0.1344 0.1611 0.9187
B: 0.6128 0.6860 0.4420
B: 0.8872 0.1860 0.4420
B: 0.1128 0.8140 0.5580
B: 0.3656 0.6611 0.9187
B: 0.6181 0.0032 0.7101
B: 0.3819 0.9968 0.2899
B: 0.1181 0.4968 0.2899
B: 0.8656 0.8389 0.0813
B: 0.6344 0.3389 0.0813
B: 0.8819 0.5032 0.7101
Li: 0.4638 0.9436 0.6933
Li: 0.9638 0.5564 0.3067
Li: 0.2039 0.8726 0.2887
Li: 0.5035 0.1758 0.9274
Li: 0.5498 0.5830 0.8585
Li: 0.5362 0.0564 0.3067
Li: 0.2961 0.3726 0.2887
Li: 0.7961 0.1274 0.7113
Li: 0.5296 0.3304 0.5464
Li: 0.0035 0.3242 0.0726
Li: 0.4965 0.8242 0.0726
Li: 0.9965 0.6758 0.9274
Li: 0.2968 0.9453 0.5573
Li: 0.0498 0.9170 0.1415
Li: 0.7039 0.6274 0.7113
Li: 0.0296 0.1696 0.4536
Li: 0.9502 0.0830 0.8585
Li: 0.9704 0.8304 0.5464
Li: 0.4502 0.4170 0.1415
Li: 0.2032 0.4453 0.5573
Li: 0.0362 0.4436 0.6933
Li: 0.7968 0.5547 0.4427
Li: 0.4704 0.6696 0.4536
Li: 0.7032 0.0547 0.4427
Nd: 0.8107 0.3470 0.0795
Nd: 0.6893 0.8470 0.0795
Nd: 0.1893 0.6530 0.9205
Nd: 0.3107 0.1530 0.9205

space group = P2_1/c, No. 14
crystal system = monoclinic


LiNdBO4: optimized geometry, PBE.

Cell lengths 6.7154, 4.9010, 5.1857 Å; angles 69.67, 90.00, 90.00 degrees
Positions (direct):
O: 0.1553 0.8265 0.4147
O: 0.6553 0.1735 0.5853
O: 0.0359 0.2464 0.5241
O: 0.4261 0.8951 0.8686
O: 0.5359 0.7536 0.4759
O: 0.7504 0.6639 0.8569
O: 0.2504 0.3361 0.1431
O: 0.9261 0.1049 0.1314
Li: 0.3163 0.4882 0.4619
Li: 0.8163 0.5118 0.5381
B: 0.0922 0.1386 0.3043
B: 0.5922 0.8614 0.6957
Nd: 0.0801 0.8086 0.9130
Nd: 0.5801 0.1914 0.0870

space group = P2_1, No. 4
total magnetic moment = 1.000 μB/f.u.
crystal system = monoclinic


LiNd6B3O14: optimized geometry, PBE.

Cell lengths 16.0983, 8.7119, 12.4362 Å; angles 48.01, 90.00, 90.00 degrees
Positions (direct):
O: 0.5836 0.8518 0.6175
O: 0.2499 0.1144 0.8217
O: 0.9211 0.0661 0.2798
O: 0.7312 0.4495 0.5040
O: 0.7758 0.0513 0.7699
O: 0.4019 0.2976 0.8948
O: 0.4109 0.4730 0.0361
O: 0.5897 0.5248 0.5100
O: 0.4103 0.4752 0.4900
O: 0.7673 0.2758 0.8794
O: 0.5499 0.1749 0.2830
O: 0.2242 0.9487 0.2301
O: 0.9675 0.3014 0.9041
O: 0.0499 0.8251 0.2170
O: 0.1094 0.0518 0.2983
O: 0.7971 0.6408 0.0735
O: 0.2673 0.7242 0.6206
O: 0.0897 0.4752 0.9900
O: 0.7501 0.8856 0.1783
O: 0.2501 0.1144 0.3217
O: 0.9103 0.5248 0.0100
O: 0.4164 0.1482 0.3825
O: 0.9141 0.2848 0.3770
O: 0.7499 0.8856 0.6783
O: 0.6094 0.9482 0.2017
O: 0.5789 0.0661 0.7798
O: 0.4675 0.6986 0.5959
O: 0.9164 0.8518 0.1175
O: 0.5325 0.3014 0.4041
O: 0.2327 0.7242 0.1206
O: 0.9019 0.7024 0.6052
O: 0.2312 0.5505 0.9960
O: 0.9501 0.1749 0.7830
O: 0.3906 0.0518 0.7983
O: 0.2971 0.3592 0.4265
O: 0.4141 0.7152 0.1230
O: 0.0325 0.6986 0.0959
O: 0.5981 0.7024 0.1052
O: 0.0836 0.1482 0.8825
O: 0.7327 0.2758 0.3794
O: 0.7242 0.0513 0.2699
O: 0.8906 0.9482 0.7017
O: 0.0859 0.7152 0.6230
O: 0.4211 0.9339 0.2202
O: 0.0981 0.2976 0.3948
O: 0.0789 0.9339 0.7202
O: 0.4501 0.8251 0.7170
O: 0.7029 0.6408 0.5735
O: 0.9109 0.5270 0.4639
O: 0.2688 0.5505 0.4960
O: 0.5891 0.5270 0.9639
O: 0.0891 0.4730 0.5361
O: 0.2758 0.9487 0.7301
O: 0.5859 0.2848 0.8770
O: 0.2029 0.3592 0.9265
O: 0.7688 0.4495 0.0040
Nd: 0.4955 0.7637 0.9371
Nd: 0.3250 0.9856 0.0544
Nd: 0.3566 0.8482 0.4241
Nd: 0.1750 0.9856 0.5544
Nd: 0.1658 0.5890 0.3331
Nd: 0.1434 0.8482 0.9241
Nd: 0.8342 0.4110 0.6669
Nd: 0.9858 0.6645 0.7839
Nd: 0.1782 0.4466 0.6943
Nd: 0.3218 0.4466 0.1943
Nd: 0.0045 0.7637 0.4371
Nd: 0.6658 0.4110 0.1669
Nd: 0.8218 0.5534 0.3057
Nd: 0.6434 0.1518 0.5759
Nd: 0.8566 0.1518 0.0759
Nd: 0.6782 0.5534 0.8057
Nd: 0.4858 0.3355 0.7161
Nd: 0.8250 0.0144 0.4456
Nd: 0.9955 0.2363 0.5629
Nd: 0.3342 0.5890 0.8331
Nd: 0.6750 0.0144 0.9456
Nd: 0.0142 0.3355 0.2161
Nd: 0.5045 0.2363 0.0629
Nd: 0.5142 0.6645 0.2839
B: 0.8270 0.5442 0.0268
B: 0.9992 0.7927 0.1440
B: 0.8069 0.9582 0.7214
B: 0.5008 0.7927 0.6440
B: 0.3069 0.0418 0.7786
B: 0.4992 0.2073 0.3560
B: 0.6730 0.5442 0.5268
B: 0.6931 0.9582 0.2214
B: 0.1730 0.4558 0.9732
B: 0.0008 0.2073 0.8560
B: 0.1931 0.0418 0.2786
B: 0.3270 0.4558 0.4732
Li: 0.8964 0.8807 0.9402
Li: 0.3964 0.1193 0.5598
Li: 0.1036 0.1193 0.0598
Li: 0.6036 0.8807 0.4402

space group = P2_1/c, No. 14
total magnetic moment = 0.000 μB/f.u.
crystal system = monoclinic


no.,DFT formation energy (eV per atom),VASP energy (eV per cell)
1,-2.470,-335.13
2,-2.781,-383.73
3,-2.782,-350.42
4,-2.800,-511.21
5,-2.800,-100.00
6,-3.494,-776.29